(1)
The following is a DFT calculation (GGA-PBE) of a relaxed SmMgSe3 crystal.

a = 6.9914 Å, b = 6.9914 Å, c = 19.4767 Å
α = 90.00°, β = 90.00°, γ = 120.00°
With the nearest neighbours (Å) after each atom.
Positions (direct):
1 Se 0.2963 0.3279 0.7508  2 Mg 2.71-2.78, 2 Sm 2.90-2.93
2 Se 0.3279 0.0316 0.2492  2 Mg 2.71-2.78, 2 Sm 2.90-2.93
3 Se 0.9684 0.2963 0.2492  2 Mg 2.71-2.78, 2 Sm 2.90-2.93
4 Se 0.9946 0.3649 0.5826  2 Mg 2.71-2.78, 2 Sm 2.90-2.93
5 Se 0.6982 0.0370 0.0841  2 Mg 2.71-2.78, 2 Sm 2.90-2.93
6 Se 0.3018 0.9630 0.9159  2 Mg 2.71-2.78, 2 Sm 2.90-2.93
7 Se 0.0370 0.3388 0.9159  2 Mg 2.71-2.78, 2 Sm 2.90-2.93
8 Se 0.6721 0.9684 0.7508  2 Mg 2.71-2.78, 2 Sm 2.90-2.93
9 Se 0.9630 0.6612 0.0841  2 Mg 2.71-2.78, 2 Sm 2.90-2.93
10 Se 0.0316 0.7037 0.7508  2 Mg 2.71-2.78, 2 Sm 2.90-2.93
11 Se 0.6612 0.6982 0.9159  2 Mg 2.71-2.78, 2 Sm 2.90-2.93
12 Se 0.6351 0.6297 0.5826  2 Mg 2.71-2.78, 2 Sm 2.90-2.93
13 Se 0.3649 0.3703 0.4174  2 Mg 2.71-2.78, 2 Sm 2.90-2.93
14 Se 0.7037 0.6721 0.2492  2 Mg 2.71-2.78, 2 Sm 2.90-2.93
15 Se 0.3388 0.3018 0.0841  2 Mg 2.71-2.78, 2 Sm 2.90-2.93
16 Se 0.6297 0.9946 0.4174  2 Mg 2.71-2.78, 2 Sm 2.90-2.93
17 Se 0.3703 0.0054 0.5826  2 Mg 2.71-2.78, 2 Sm 2.90-2.93
18 Se 0.0054 0.6351 0.4174  2 Mg 2.71-2.78, 2 Sm 2.90-2.93
19 Mg 0.0000 0.0000 0.8385  6 Se 2.71-2.78
20 Mg 0.3333 0.6667 0.5052  6 Se 2.71-2.78
21 Mg 0.3333 0.6667 0.8281  6 Se 2.71-2.78
22 Mg 0.6667 0.3333 0.1719  6 Se 2.71-2.78
23 Mg 0.6667 0.3333 0.4948  6 Se 2.71-2.78
24 Mg 0.0000 0.0000 0.1615  6 Se 2.71-2.78
25 Sm 0.0000 0.0000 0.3490  6 Se 2.90-2.93
26 Sm 0.6667 0.3333 0.6823  6 Se 2.90-2.93
27 Sm 0.3333 0.6667 0.3177  6 Se 2.90-2.93
28 Sm 0.3333 0.6667 0.0156  6 Se 2.90-2.93
29 Sm 0.0000 0.0000 0.6510  6 Se 2.90-2.93
30 Sm 0.6667 0.3333 0.9844  6 Se 2.90-2.93

Values from the calculation:
Excess energy over the best structure of this formula in the dataset in meV/atom: 0.0
ΔE_f in eV per atom: -1.4875
V in Å³ per cell: 824

(2)
The following is a DFT calculation (GGA-PBE) of a relaxed SmMgSe3 crystal.

a = 8.5905 Å, b = 11.9369 Å, c = 7.7718 Å
α = 90.00°, β = 135.30°, γ = 90.00°
With the nearest neighbours (Å) after each atom.
Positions (direct):
1 Se 0.7391 0.1566 0.7588  1 Mg 2.59
2 Se 0.2609 0.1566 0.2412  1 Mg 2.59
3 Se 0.7999 0.5000 0.6977  2 Mg 2.64, 2 Sm 2.85-2.92
4 Se 0.2001 0.5000 0.3023  2 Mg 2.64, 2 Sm 2.85-2.92
5 Se 0.2609 0.8434 0.2412  1 Mg 2.59
6 Se 0.7609 0.3434 0.2412  1 Mg 2.59
7 Se 0.2391 0.3434 0.7588  1 Mg 2.59
8 Se 0.7609 0.6566 0.2412  1 Mg 2.59
9 Se 0.2999 0.0000 0.6977  2 Mg 2.64, 2 Sm 2.85-2.92
10 Se 0.2391 0.6566 0.7588  1 Mg 2.59
11 Se 0.7001 0.0000 0.3023  2 Mg 2.64, 2 Sm 2.85-2.92
12 Se 0.7391 0.8434 0.7588  1 Mg 2.59
13 Mg 0.0000 0.3275 0.0000  4 Se 2.59-2.64
14 Mg 0.5000 0.1725 0.0000  4 Se 2.59-2.64
15 Mg 0.5000 0.8275 0.0000  4 Se 2.59-2.64
16 Mg 0.0000 0.6725 0.0000  4 Se 2.59-2.64
17 Sm 0.4504 0.5000 0.1775  6 Se 2.85-3.00
18 Sm 0.9504 0.0000 0.1775  6 Se 2.85-3.00
19 Sm 0.0496 0.0000 0.8225  6 Se 2.85-3.00
20 Sm 0.5496 0.5000 0.8225  6 Se 2.85-3.00

Values from the calculation:
Excess energy over the best structure of this formula in the dataset in meV/atom: 59.2
ΔE_f in eV per atom: -1.4283
V in Å³ per cell: 561

(3)
The following is a DFT calculation (GGA-PBE) of a relaxed TbMgSe3 crystal.

a = 8.4738 Å, b = 11.9511 Å, c = 7.5755 Å
α = 90.00°, β = 133.88°, γ = 90.00°
With the nearest neighbours (Å) after each atom.
Positions (direct):
1 Tb 0.4634 0.5000 0.1894  6 Se 2.78-2.98
2 Tb 0.0366 0.0000 0.8106  6 Se 2.78-2.98
3 Tb 0.9634 0.0000 0.1894  6 Se 2.78-2.98
4 Tb 0.5366 0.5000 0.8106  6 Se 2.78-2.98
5 Se 0.2417 0.3456 0.7657  1 Mg 2.62, 1 Tb 2.93
6 Se 0.2583 0.8456 0.2343  1 Mg 2.62, 1 Tb 2.93
7 Se 0.2583 0.1544 0.2343  1 Mg 2.62, 1 Tb 2.93
8 Se 0.7417 0.8456 0.7657  1 Mg 2.62, 1 Tb 2.93
9 Se 0.2937 0.0000 0.6981  2 Mg 2.64, 2 Tb 2.78-2.84
10 Se 0.7937 0.5000 0.6981  2 Mg 2.64, 2 Tb 2.78-2.84
11 Se 0.7583 0.3456 0.2343  1 Mg 2.62, 1 Tb 2.93
12 Se 0.2063 0.5000 0.3019  2 Mg 2.64, 2 Tb 2.78-2.84
13 Se 0.7583 0.6544 0.2343  1 Mg 2.62, 1 Tb 2.93
14 Se 0.7417 0.1544 0.7657  1 Mg 2.62, 1 Tb 2.93
15 Se 0.2417 0.6544 0.7657  1 Mg 2.62, 1 Tb 2.93
16 Se 0.7063 0.0000 0.3019  2 Mg 2.64, 2 Tb 2.78-2.84
17 Mg 0.5000 0.8279 0.0000  4 Se 2.62-2.64
18 Mg 0.0000 0.3279 0.0000  4 Se 2.62-2.64
19 Mg 0.0000 0.6721 0.0000  4 Se 2.62-2.64
20 Mg 0.5000 0.1721 0.0000  4 Se 2.62-2.64

Values from the calculation:
Excess energy over the best structure of this formula in the dataset in meV/atom: 70.1
ΔE_f in eV per atom: -1.4331
V in Å³ per cell: 553